No. 1
Compound: Er2MgV2O8
Source: the Materials Project
Functional: GGA+U
Structure: relaxed

The structure in POSCAR format:
```
Er2MgV2O8
1.0
4.769 -3.556 0.000
4.769 3.556 0.000
-4.068 0.000 5.035
Er Mg V O
2 1 2 8
Direct
0.214 0.214 0.072
0.786 0.786 0.928
0.774 0.226 0.500
0.311 0.242 0.645
0.758 0.689 0.355
0.056 0.104 0.286
0.077 0.431 0.800
0.425 0.027 0.794
0.520 0.423 0.669
0.569 0.923 0.200
0.577 0.480 0.331
0.896 0.944 0.714
0.973 0.575 0.206
```

Properties
- E above lowest polymorph: 0.000 eV/atom
- Space-group type: C2, No. 5
- Spin magnetization: 0.1544 μB per atom
- Total energy after the MP2020 corrections: -108.6 eV per cell
- Formation energy from the elements: -3.09 eV/atom


No. 2
Compound: Li2V5O10
Source: the Materials Project
Functional: GGA+U
Structure: relaxed

The structure in POSCAR format:
```
Li2V5O10
1.0
5.122 0.000 0.000
-0.415 8.225 0.000
-2.354 -3.849 9.153
Li V O
4 10 20
Direct
0.134 0.193 0.093
0.363 0.302 0.404
0.637 0.698 0.596
0.866 0.807 0.907
0.000 0.500 0.000
0.063 0.206 0.601
0.212 0.908 0.721
0.296 0.588 0.773
0.438 0.289 0.899
0.500 0.000 0.500
0.562 0.711 0.101
0.704 0.412 0.227
0.788 0.092 0.279
0.937 0.794 0.399
0.004 0.716 0.725
0.110 0.378 0.813
0.124 0.036 0.404
0.225 0.710 0.994
0.230 0.088 0.897
0.276 0.421 0.602
0.295 0.803 0.525
0.373 0.458 0.092
0.410 0.134 0.698
0.497 0.211 0.217
0.503 0.789 0.783
0.590 0.866 0.302
0.627 0.542 0.908
0.705 0.197 0.475
0.724 0.579 0.398
0.770 0.912 0.103
0.775 0.290 0.006
0.876 0.964 0.596
0.890 0.622 0.187
0.996 0.284 0.275
```

Properties
- E above lowest polymorph: 0.000 eV/atom
- Space-group type: P-1, No. 2
- Spin magnetization: 0.2942 μB per atom
- Total energy after the MP2020 corrections: -280.9 eV per cell
- Formation energy from the elements: -2.46 eV/atom


No. 3
Compound: V2CoH4C4N2O6
Source: the Materials Project
Functional: GGA+U
Structure: relaxed

The structure in POSCAR format:
```
V2CoH4C4N2O6
1.0
10.506 0.000 0.000
0.000 11.700 0.000
0.000 0.000 7.639
V Co H C N O
8 4 16 16 8 24
Direct
0.228 0.148 0.096
0.228 0.352 0.404
0.272 0.648 0.404
0.272 0.852 0.096
0.728 0.148 0.904
0.728 0.352 0.596
0.772 0.648 0.596
0.772 0.852 0.904
0.067 0.750 0.750
0.433 0.250 0.750
0.567 0.750 0.250
0.933 0.250 0.250
0.034 0.188 0.626
0.034 0.312 0.874
0.107 0.009 0.782
0.107 0.491 0.718
0.393 0.509 0.718
0.393 0.991 0.782
0.466 0.688 0.874
0.466 0.812 0.626
0.534 0.188 0.374
0.534 0.312 0.126
0.607 0.009 0.218
0.607 0.491 0.282
0.893 0.509 0.282
0.893 0.991 0.218
0.966 0.688 0.126
0.966 0.812 0.374
0.018 0.104 0.570
0.018 0.396 0.930
0.059 0.005 0.655
0.059 0.495 0.845
0.441 0.505 0.845
0.441 0.995 0.655
0.482 0.604 0.930
0.482 0.896 0.570
0.518 0.104 0.430
0.518 0.396 0.070
0.559 0.005 0.345
0.559 0.495 0.155
0.941 0.505 0.155
0.941 0.995 0.345
0.982 0.604 0.070
0.982 0.896 0.430
0.041 0.599 0.914
0.041 0.901 0.586
0.459 0.099 0.586
0.459 0.401 0.914
0.541 0.599 0.086
0.541 0.901 0.414
0.959 0.099 0.414
0.959 0.401 0.086
0.070 0.174 0.089
0.070 0.326 0.411
0.205 0.750 0.250
0.207 0.671 0.603
0.207 0.829 0.897
0.250 0.000 0.164
0.250 0.500 0.336
0.293 0.171 0.897
0.293 0.329 0.603
0.295 0.250 0.250
0.430 0.674 0.411
0.430 0.826 0.089
0.570 0.174 0.911
0.570 0.326 0.589
0.705 0.750 0.750
0.707 0.671 0.397
0.707 0.829 0.103
0.750 0.000 0.836
0.750 0.500 0.664
0.793 0.171 0.103
0.793 0.329 0.397
0.795 0.250 0.750
0.930 0.674 0.589
0.930 0.826 0.911
```

Properties
- Space-group type: Pnna, No. 52
- Spin magnetization: 0.0527 μB per atom
- Total energy after the MP2020 corrections: -561.6 eV per cell
- Formation energy from the elements: -0.96 eV/atom


No. 4
Compound: Mg30VCoO32
Source: the Materials Project
Functional: GGA+U
Structure: relaxed

The structure in POSCAR format:
```
Mg30VCoO32
1.0
8.536 0.000 0.000
0.000 8.536 0.000
0.000 0.000 8.533
Mg V Co O
30 1 1 32
Direct
0.000 0.000 0.000
0.000 0.249 0.251
0.000 0.249 0.749
0.000 0.500 0.000
0.000 0.500 0.500
0.000 0.751 0.251
0.000 0.751 0.749
0.246 0.246 0.500
0.246 0.754 0.500
0.249 0.000 0.251
0.249 0.000 0.749
0.249 0.249 0.000
0.249 0.500 0.249
0.249 0.500 0.751
0.249 0.751 0.000
0.500 0.000 0.000
0.500 0.000 0.500
0.500 0.249 0.249
0.500 0.249 0.751
0.500 0.500 0.000
0.500 0.751 0.249
0.500 0.751 0.751
0.751 0.000 0.251
0.751 0.000 0.749
0.751 0.249 0.000
0.751 0.500 0.249
0.751 0.500 0.751
0.751 0.751 0.000
0.754 0.246 0.500
0.754 0.754 0.500
0.500 0.500 0.500
0.000 0.000 0.500
0.000 0.000 0.244
0.000 0.000 0.756
0.000 0.251 0.000
0.000 0.259 0.500
0.000 0.500 0.250
0.000 0.500 0.750
0.000 0.741 0.500
0.000 0.749 0.000
0.250 0.250 0.251
0.250 0.250 0.749
0.250 0.500 0.000
0.250 0.750 0.251
0.250 0.750 0.749
0.251 0.000 0.000
0.252 0.500 0.500
0.259 0.000 0.500
0.500 0.000 0.250
0.500 0.000 0.750
0.500 0.250 0.000
0.500 0.252 0.500
0.500 0.500 0.248
0.500 0.500 0.752
0.500 0.748 0.500
0.500 0.750 0.000
0.741 0.000 0.500
0.748 0.500 0.500
0.749 0.000 0.000
0.750 0.250 0.251
0.750 0.250 0.749
0.750 0.500 0.000
0.750 0.750 0.251
0.750 0.750 0.749
```

Properties
- Space-group type: P4/mmm, No. 123
- Spin magnetization: 0.0777 μB per atom
- Total energy after the MP2020 corrections: -411.5 eV per cell
- Formation energy from the elements: -2.95 eV/atom


No. 5
Compound: LiFePO4F
Source: the Materials Project
Functional: GGA+U
Structure: relaxed

The structure in POSCAR format:
```
LiFePO4F
1.0
12.893 0.000 0.000
0.000 6.322 0.000
0.000 0.000 10.702
Li Fe P O F
8 8 8 32 8
Direct
0.105 0.048 0.000
0.220 0.761 0.251
0.280 0.261 0.751
0.395 0.548 0.500
0.605 0.452 0.000
0.720 0.739 0.251
0.780 0.239 0.751
0.895 0.952 0.500
0.114 0.002 0.517
0.248 0.753 0.769
0.252 0.253 0.269
0.386 0.502 0.017
0.614 0.498 0.517
0.748 0.747 0.769
0.752 0.247 0.269
0.886 0.998 0.017
0.003 0.165 0.264
0.188 0.498 0.519
0.312 0.998 0.019
0.497 0.665 0.764
0.503 0.335 0.264
0.688 0.002 0.519
0.812 0.502 0.019
0.997 0.835 0.764
0.002 0.030 0.140
0.008 0.011 0.379
0.097 0.703 0.774
0.100 0.307 0.260
0.119 0.305 0.538
0.123 0.696 0.499
0.236 0.025 0.134
0.236 0.971 0.906
0.264 0.471 0.406
0.264 0.525 0.634
0.377 0.196 0.999
0.381 0.805 0.038
0.400 0.807 0.760
0.403 0.203 0.274
0.492 0.511 0.879
0.498 0.530 0.640
0.502 0.470 0.140
0.508 0.489 0.379
0.597 0.797 0.774
0.600 0.193 0.260
0.619 0.195 0.538
0.623 0.804 0.499
0.736 0.475 0.134
0.736 0.529 0.906
0.764 0.029 0.406
0.764 0.975 0.634
0.877 0.304 0.999
0.881 0.695 0.038
0.900 0.693 0.760
0.903 0.297 0.274
0.992 0.989 0.879
0.998 0.970 0.640
0.228 0.000 0.381
0.231 0.004 0.653
0.269 0.504 0.153
0.272 0.500 0.881
0.728 0.500 0.381
0.731 0.496 0.653
0.769 0.996 0.153
0.772 0.000 0.881
```

Properties
- E above lowest polymorph: 0.033 eV/atom
- Space-group type: Pna2_1, No. 33
- Spin magnetization: 0.0000 μB per atom
- Total energy after the MP2020 corrections: -461.1 eV per cell
- Formation energy from the elements: -2.52 eV/atom


No. 6
Compound: Al2Mo2O7
Source: the Materials Project
Functional: GGA+U
Structure: relaxed

The structure in POSCAR format:
```
Al2Mo2O7
1.0
6.426 0.000 0.000
2.836 6.298 0.000
2.633 1.441 6.411
Al Mo O
4 4 14
Direct
0.000 0.000 0.000
0.011 0.056 0.502
0.158 0.416 0.820
0.578 0.061 0.923
0.043 0.574 0.392
0.529 0.630 0.890
0.543 0.059 0.440
0.587 0.577 0.360
0.159 0.162 0.985
0.193 0.726 0.063
0.204 0.220 0.424
0.290 0.487 0.537
0.390 0.821 0.490
0.442 0.386 0.861
0.525 0.950 0.738
0.573 0.767 0.074
0.683 0.084 0.128
0.725 0.259 0.450
0.879 0.517 0.741
0.908 0.009 0.781
0.917 0.534 0.203
0.930 0.887 0.406
```

Properties
- E above lowest polymorph: 0.000 eV/atom
- Space-group type: P1, No. 1
- Spin magnetization: 0.3636 μB per atom
- Total energy after the MP2020 corrections: -178.8 eV per cell
- Formation energy from the elements: -2.33 eV/atom


No. 7
Compound: Rb6U5V2O23
Source: the Materials Project
Functional: GGA+U
Structure: relaxed

The structure in POSCAR format:
```
Rb6U5V2O23
1.0
12.609 -3.592 0.000
12.609 3.592 0.000
-3.789 0.000 14.336
Rb U V O
12 10 4 46
Direct
0.068 0.514 0.827
0.117 0.623 0.386
0.212 0.714 0.952
0.286 0.788 0.548
0.377 0.883 0.114
0.486 0.932 0.673
0.514 0.068 0.327
0.623 0.117 0.886
0.714 0.212 0.452
0.788 0.286 0.048
0.883 0.377 0.614
0.932 0.486 0.173
0.084 0.916 0.250
0.107 0.186 0.884
0.186 0.107 0.384
0.362 0.473 0.672
0.473 0.362 0.172
0.527 0.638 0.828
0.638 0.527 0.328
0.814 0.893 0.616
0.893 0.814 0.116
0.916 0.084 0.750
0.235 0.330 0.570
0.330 0.235 0.070
0.670 0.765 0.930
0.765 0.670 0.430
0.060 0.201 0.999
0.066 0.803 0.683
0.069 0.885 0.361
0.115 0.931 0.139
0.125 0.550 0.581
0.145 0.341 0.643
0.155 0.178 0.773
0.159 0.686 0.180
0.167 0.474 0.111
0.178 0.155 0.273
0.197 0.934 0.817
0.201 0.060 0.499
0.236 0.247 0.457
0.247 0.236 0.957
0.314 0.841 0.320
0.324 0.460 0.781
0.341 0.145 0.143
0.389 0.485 0.558
0.450 0.875 0.919
0.460 0.324 0.281
0.474 0.167 0.611
0.485 0.389 0.058
0.490 0.510 0.750
0.510 0.490 0.250
0.515 0.611 0.942
0.526 0.833 0.389
0.540 0.676 0.719
0.550 0.125 0.081
0.611 0.515 0.442
0.659 0.855 0.857
0.676 0.540 0.219
0.686 0.159 0.680
0.753 0.764 0.043
0.764 0.753 0.543
0.799 0.940 0.501
0.803 0.066 0.183
0.822 0.845 0.727
0.833 0.526 0.889
0.841 0.314 0.820
0.845 0.822 0.227
0.855 0.659 0.357
0.875 0.450 0.419
0.885 0.069 0.861
0.931 0.115 0.639
0.934 0.197 0.317
0.940 0.799 0.001
```

Properties
- Space-group type: C2/c, No. 15
- Spin magnetization: 0.0000 μB per atom
- Total energy after the MP2020 corrections: -612.6 eV per cell
- Formation energy from the elements: -3.11 eV/atom


No. 8
Compound: Li9Mn2Co5O16
Source: the Materials Project
Functional: GGA+U
Structure: relaxed

The structure in POSCAR format:
```
Li9Mn2Co5O16
1.0
5.171 0.000 0.000
0.000 5.810 0.000
-1.579 0.000 9.641
Li Mn Co O
9 2 5 16
Direct
0.000 0.000 0.000
0.000 0.252 0.500
0.000 0.748 0.500
0.249 0.500 0.753
0.254 0.000 0.763
0.500 0.243 0.000
0.500 0.757 0.000
0.746 0.000 0.237
0.751 0.500 0.247
0.000 0.500 0.000
0.500 0.000 0.500
0.237 0.245 0.243
0.237 0.755 0.243
0.500 0.500 0.500
0.763 0.245 0.757
0.763 0.755 0.757
0.110 0.264 0.879
0.110 0.736 0.879
0.145 0.500 0.366
0.158 0.000 0.381
0.340 0.500 0.116
0.372 0.000 0.141
0.385 0.243 0.613
0.385 0.757 0.613
0.615 0.243 0.387
0.615 0.757 0.387
0.628 0.000 0.859
0.660 0.500 0.884
0.842 0.000 0.619
0.855 0.500 0.634
0.890 0.264 0.121
0.890 0.736 0.121
```

Properties
- E above lowest polymorph: 0.044 eV/atom
- Space-group type: P2/m, No. 10
- Spin magnetization: 0.4375 μB per atom
- Total energy after the MP2020 corrections: -208.5 eV per cell
- Formation energy from the elements: -1.82 eV/atom